Here is a relaxed KSeO2F crystal from Materials Project. Energies are from PBE-GGA. Values from VASP.

Quantum ESPRESSO input file:
```
&SYSTEM
  ibrav = 0, nat = 10, ntyp = 4
/
ATOMIC_SPECIES
K 39.10 K.upf
Se 78.96 Se.upf
O 16.00 O.upf
F 19.00 F.upf
CELL_PARAMETERS angstrom
4.570 0.000 0.000
0.000 6.172 0.000
-2.220 0.000 7.035
ATOMIC_POSITIONS crystal
K 0.158 0.250 0.325
K 0.842 0.750 0.675
Se 0.428 0.250 0.840
Se 0.572 0.750 0.160
O 0.354 0.033 0.699
O 0.354 0.467 0.699
O 0.646 0.533 0.301
O 0.646 0.967 0.301
F 0.056 0.250 0.916
F 0.944 0.750 0.084
```

Its magnetic moment is 0.000 μB per formula unit. The raw total energy is -48.54 eV for the cell shown.



Here is a relaxed Ta4CoNi crystal from Materials Project. Energies are from PBE-GGA. Values from VASP.

Quantum ESPRESSO input file:
```
&SYSTEM
  ibrav = 0, nat = 6, ntyp = 3
/
ATOMIC_SPECIES
Ta 180.95 Ta.upf
Co 58.93 Co.upf
Ni 58.69 Ni.upf
CELL_PARAMETERS angstrom
-3.085 3.085 2.457
3.085 -3.085 2.457
3.085 3.085 -2.457
ATOMIC_POSITIONS crystal
Ta 0.091 0.591 0.181
Ta 0.409 0.909 0.819
Ta 0.591 0.409 0.500
Ta 0.909 0.091 0.500
Co 0.500 0.500 0.000
Ni 0.000 0.000 0.000
```

The raw total energy is -61.78 eV for the cell shown.



Here is a relaxed Sr7PbN6 crystal from Materials Project. Energies are from PBE-GGA. Values from VASP.

Quantum ESPRESSO input file:
```
&SYSTEM
  ibrav = 0, nat = 28, ntyp = 3
/
ATOMIC_SPECIES
Sr 87.62 Sr.upf
Pb 207.20 Pb.upf
N 14.01 N.upf
CELL_PARAMETERS angstrom
-3.425 6.321 6.803
3.425 -6.321 6.803
3.425 6.321 -6.803
ATOMIC_POSITIONS crystal
Sr 0.050 0.218 0.268
Sr 0.090 0.504 0.851
Sr 0.153 0.004 0.414
Sr 0.250 0.250 0.000
Sr 0.347 0.762 0.851
Sr 0.410 0.262 0.414
Sr 0.450 0.718 0.169
Sr 0.550 0.282 0.831
Sr 0.590 0.738 0.586
Sr 0.653 0.238 0.149
Sr 0.750 0.750 0.000
Sr 0.847 0.996 0.586
Sr 0.910 0.496 0.149
Sr 0.950 0.782 0.732
Pb 0.250 0.750 0.500
Pb 0.750 0.250 0.500
N 0.063 0.881 0.586
N 0.150 0.883 0.033
N 0.206 0.619 0.182
N 0.294 0.476 0.414
N 0.350 0.383 0.734
N 0.437 0.024 0.818
N 0.563 0.976 0.182
N 0.650 0.617 0.266
N 0.706 0.524 0.586
N 0.794 0.381 0.818
N 0.850 0.117 0.967
N 0.937 0.119 0.414
```

Its magnetic moment is 0.000 μB per formula unit. The raw total energy is -142.13 eV for the cell shown.



> Number 1 is which compound?

KSeO2F



> What is the raw total energy in the first record?

-48.54 eV for the cell shown